Entry 1:
The following is a r²SCAN calculation of CsNb6Cl15 after structural relaxation, from the Materials Project.

CIF file:
```
data_CsNb6Cl15
_chemical_formula_sum 'Cs4 Nb24 Cl60'
_symmetry_space_group_name_H-M 'P 1'
_symmetry_Int_Tables_number 1
_cell_length_a 18.262
_cell_length_b 13.761
_cell_length_c 9.670
_cell_angle_alpha 90.00
_cell_angle_beta 90.00
_cell_angle_gamma 90.00
loop_
_symmetry_equiv_pos_as_xyz
'x,y,z'
loop_
_atom_site_label
_atom_site_type_symbol
_atom_site_fract_x
_atom_site_fract_y
_atom_site_fract_z
Cs1 Cs 0.250 0.247 0.199
Cs2 Cs 0.250 0.753 0.199
Cs3 Cs 0.750 0.247 0.801
Cs4 Cs 0.750 0.753 0.801
Nb1 Nb 0.031 0.107 0.859
Nb2 Nb 0.031 0.893 0.859
Nb3 Nb 0.104 0.000 0.081
Nb4 Nb 0.169 0.393 0.686
Nb5 Nb 0.169 0.607 0.686
Nb6 Nb 0.250 0.500 0.474
Nb7 Nb 0.250 0.500 0.898
Nb8 Nb 0.331 0.393 0.686
Nb9 Nb 0.331 0.607 0.686
Nb10 Nb 0.396 0.000 0.081
Nb11 Nb 0.469 0.107 0.859
Nb12 Nb 0.469 0.893 0.859
Nb13 Nb 0.531 0.107 0.141
Nb14 Nb 0.531 0.893 0.141
Nb15 Nb 0.604 0.000 0.919
Nb16 Nb 0.669 0.393 0.314
Nb17 Nb 0.669 0.607 0.314
Nb18 Nb 0.750 0.500 0.102
Nb19 Nb 0.750 0.500 0.526
Nb20 Nb 0.831 0.393 0.314
Nb21 Nb 0.831 0.607 0.314
Nb22 Nb 0.896 0.000 0.919
Nb23 Nb 0.969 0.107 0.141
Nb24 Nb 0.969 0.893 0.141
Cl1 Cl 0.000 0.250 0.000
Cl2 Cl 0.000 0.750 0.000
Cl3 Cl 0.061 0.500 0.688
Cl4 Cl 0.068 0.250 0.682
Cl5 Cl 0.068 0.750 0.682
Cl6 Cl 0.072 0.000 0.669
Cl7 Cl 0.088 0.124 0.265
Cl8 Cl 0.088 0.876 0.265
Cl9 Cl 0.152 0.378 0.433
Cl10 Cl 0.152 0.622 0.433
Cl11 Cl 0.155 0.377 0.940
Cl12 Cl 0.155 0.623 0.940
Cl13 Cl 0.159 0.123 0.929
Cl14 Cl 0.159 0.877 0.929
Cl15 Cl 0.250 0.000 0.183
Cl16 Cl 0.250 0.249 0.677
Cl17 Cl 0.250 0.500 0.187
Cl18 Cl 0.250 0.751 0.677
Cl19 Cl 0.341 0.123 0.929
Cl20 Cl 0.341 0.877 0.929
Cl21 Cl 0.345 0.377 0.940
Cl22 Cl 0.345 0.623 0.940
Cl23 Cl 0.348 0.378 0.433
Cl24 Cl 0.348 0.622 0.433
Cl25 Cl 0.412 0.124 0.265
Cl26 Cl 0.412 0.876 0.265
Cl27 Cl 0.428 0.000 0.669
Cl28 Cl 0.432 0.250 0.682
Cl29 Cl 0.432 0.750 0.682
Cl30 Cl 0.439 0.500 0.688
Cl31 Cl 0.500 0.250 0.000
Cl32 Cl 0.500 0.750 0.000
Cl33 Cl 0.561 0.500 0.312
Cl34 Cl 0.568 0.250 0.318
Cl35 Cl 0.568 0.750 0.318
Cl36 Cl 0.572 0.000 0.331
Cl37 Cl 0.588 0.124 0.735
Cl38 Cl 0.588 0.876 0.735
Cl39 Cl 0.652 0.378 0.567
Cl40 Cl 0.652 0.622 0.567
Cl41 Cl 0.655 0.377 0.060
Cl42 Cl 0.655 0.623 0.060
Cl43 Cl 0.659 0.123 0.071
Cl44 Cl 0.659 0.877 0.071
Cl45 Cl 0.750 0.000 0.817
Cl46 Cl 0.750 0.249 0.323
Cl47 Cl 0.750 0.500 0.813
Cl48 Cl 0.750 0.751 0.323
Cl49 Cl 0.841 0.123 0.071
Cl50 Cl 0.841 0.877 0.071
Cl51 Cl 0.845 0.377 0.060
Cl52 Cl 0.845 0.623 0.060
Cl53 Cl 0.848 0.378 0.567
Cl54 Cl 0.848 0.622 0.567
Cl55 Cl 0.912 0.124 0.735
Cl56 Cl 0.912 0.876 0.735
Cl57 Cl 0.928 0.000 0.331
Cl58 Cl 0.932 0.250 0.318
Cl59 Cl 0.932 0.750 0.318
Cl60 Cl 0.939 0.500 0.312
```



Entry 2:
The following is a r²SCAN calculation of LaSbSe after structural relaxation, from the Materials Project.

CIF file:
```
data_LaSbSe
_chemical_formula_sum 'La4 Sb4 Se4'
_symmetry_space_group_name_H-M 'P 1'
_symmetry_Int_Tables_number 1
_cell_length_a 4.273
_cell_length_b 18.614
_cell_length_c 6.045
_cell_angle_alpha 90.00
_cell_angle_beta 134.86
_cell_angle_gamma 90.00
loop_
_symmetry_equiv_pos_as_xyz
'x,y,z'
loop_
_atom_site_label
_atom_site_type_symbol
_atom_site_fract_x
_atom_site_fract_y
_atom_site_fract_z
La1 La 0.008 0.149 0.263
La2 La 0.008 0.351 0.763
La3 La 0.992 0.649 0.237
La4 La 0.992 0.851 0.737
Sb1 Sb 0.476 0.000 0.232
Sb2 Sb 0.476 0.500 0.732
Sb3 Sb 0.524 0.000 0.768
Sb4 Sb 0.524 0.500 0.268
Se1 Se 0.008 0.186 0.762
Se2 Se 0.008 0.314 0.262
Se3 Se 0.992 0.686 0.738
Se4 Se 0.992 0.814 0.238
```



Entry 3:
The following is a r²SCAN calculation of K4GeSe4 after structural relaxation, from the Materials Project.

CIF file:
```
data_K4GeSe4
_chemical_formula_sum 'K32 Ge8 Se32'
_symmetry_space_group_name_H-M 'P 1'
_symmetry_Int_Tables_number 1
_cell_length_a 13.317
_cell_length_b 13.317
_cell_length_c 13.317
_cell_angle_alpha 90.00
_cell_angle_beta 90.00
_cell_angle_gamma 90.00
loop_
_symmetry_equiv_pos_as_xyz
'x,y,z'
loop_
_atom_site_label
_atom_site_type_symbol
_atom_site_fract_x
_atom_site_fract_y
_atom_site_fract_z
K1 K 0.089 0.132 0.649
K2 K 0.089 0.868 0.351
K3 K 0.132 0.351 0.911
K4 K 0.132 0.649 0.089
K5 K 0.149 0.368 0.411
K6 K 0.149 0.632 0.589
K7 K 0.150 0.150 0.150
K8 K 0.150 0.850 0.850
K9 K 0.350 0.350 0.650
K10 K 0.350 0.650 0.350
K11 K 0.351 0.089 0.868
K12 K 0.351 0.911 0.132
K13 K 0.368 0.411 0.149
K14 K 0.368 0.589 0.851
K15 K 0.411 0.149 0.368
K16 K 0.411 0.851 0.632
K17 K 0.589 0.149 0.632
K18 K 0.589 0.851 0.368
K19 K 0.632 0.411 0.851
K20 K 0.632 0.589 0.149
K21 K 0.649 0.089 0.132
K22 K 0.649 0.911 0.868
K23 K 0.650 0.350 0.350
K24 K 0.650 0.650 0.650
K25 K 0.850 0.150 0.850
K26 K 0.850 0.850 0.150
K27 K 0.851 0.368 0.589
K28 K 0.851 0.632 0.411
K29 K 0.868 0.351 0.089
K30 K 0.868 0.649 0.911
K31 K 0.911 0.132 0.351
K32 K 0.911 0.868 0.649
Ge1 Ge 0.000 0.000 0.000
Ge2 Ge 0.000 0.500 0.250
Ge3 Ge 0.000 0.500 0.750
Ge4 Ge 0.250 0.000 0.500
Ge5 Ge 0.500 0.250 0.000
Ge6 Ge 0.500 0.500 0.500
Ge7 Ge 0.500 0.750 0.000
Ge8 Ge 0.750 0.000 0.500
Se1 Se 0.098 0.387 0.653
Se2 Se 0.098 0.613 0.347
Se3 Se 0.103 0.103 0.897
Se4 Se 0.103 0.897 0.103
Se5 Se 0.113 0.402 0.153
Se6 Se 0.113 0.598 0.847
Se7 Se 0.153 0.113 0.402
Se8 Se 0.153 0.887 0.598
Se9 Se 0.347 0.098 0.613
Se10 Se 0.347 0.902 0.387
Se11 Se 0.387 0.347 0.902
Se12 Se 0.387 0.653 0.098
Se13 Se 0.397 0.397 0.397
Se14 Se 0.397 0.603 0.603
Se15 Se 0.402 0.153 0.113
Se16 Se 0.402 0.847 0.887
Se17 Se 0.598 0.153 0.887
Se18 Se 0.598 0.847 0.113
Se19 Se 0.603 0.397 0.603
Se20 Se 0.603 0.603 0.397
Se21 Se 0.613 0.347 0.098
Se22 Se 0.613 0.653 0.902
Se23 Se 0.653 0.098 0.387
Se24 Se 0.653 0.902 0.613
Se25 Se 0.847 0.113 0.598
Se26 Se 0.847 0.887 0.402
Se27 Se 0.887 0.402 0.847
Se28 Se 0.887 0.598 0.153
Se29 Se 0.897 0.103 0.103
Se30 Se 0.897 0.897 0.897
Se31 Se 0.902 0.387 0.347
Se32 Se 0.902 0.613 0.653
```



Entry 4:
The following is a r²SCAN calculation of PrSn2 after structural relaxation, from the Materials Project.

CIF file:
```
data_PrSn2
_chemical_formula_sum 'Pr2 Sn4'
_symmetry_space_group_name_H-M 'P 1'
_symmetry_Int_Tables_number 1
_cell_length_a 8.555
_cell_length_b 8.555
_cell_length_c 4.607
_cell_angle_alpha 90.00
_cell_angle_beta 90.00
_cell_angle_gamma 149.54
loop_
_symmetry_equiv_pos_as_xyz
'x,y,z'
loop_
_atom_site_label
_atom_site_type_symbol
_atom_site_fract_x
_atom_site_fract_y
_atom_site_fract_z
Pr1 Pr 0.143 0.857 0.000
Pr2 Pr 0.857 0.143 0.000
Sn1 Sn 0.000 0.000 0.500
Sn2 Sn 0.311 0.689 0.500
Sn3 Sn 0.500 0.500 0.000
Sn4 Sn 0.689 0.311 0.500
```



Entry 5:
The following is a r²SCAN calculation of SiO2 after structural relaxation, from the Materials Project.

CIF file:
```
data_SiO2
_chemical_formula_sum 'Si28 O56'
_symmetry_space_group_name_H-M 'P 1'
_symmetry_Int_Tables_number 1
_cell_length_a 5.237
_cell_length_b 22.454
_cell_length_c 13.972
_cell_angle_alpha 90.00
_cell_angle_beta 90.00
_cell_angle_gamma 90.00
loop_
_symmetry_equiv_pos_as_xyz
'x,y,z'
loop_
_atom_site_label
_atom_site_type_symbol
_atom_site_fract_x
_atom_site_fract_y
_atom_site_fract_z
Si1 Si 0.250 0.031 0.115
Si2 Si 0.250 0.050 0.905
Si3 Si 0.250 0.073 0.321
Si4 Si 0.250 0.122 0.726
Si5 Si 0.250 0.250 0.645
Si6 Si 0.250 0.378 0.726
Si7 Si 0.250 0.427 0.321
Si8 Si 0.250 0.450 0.905
Si9 Si 0.250 0.469 0.115
Si10 Si 0.250 0.566 0.372
Si11 Si 0.250 0.622 0.580
Si12 Si 0.250 0.750 0.488
Si13 Si 0.250 0.878 0.580
Si14 Si 0.250 0.934 0.372
Si15 Si 0.750 0.066 0.628
Si16 Si 0.750 0.122 0.420
Si17 Si 0.750 0.250 0.512
Si18 Si 0.750 0.378 0.420
Si19 Si 0.750 0.434 0.628
Si20 Si 0.750 0.531 0.885
Si21 Si 0.750 0.550 0.095
Si22 Si 0.750 0.573 0.679
Si23 Si 0.750 0.622 0.274
Si24 Si 0.750 0.750 0.355
Si25 Si 0.750 0.878 0.274
Si26 Si 0.750 0.927 0.679
Si27 Si 0.750 0.950 0.095
Si28 Si 0.750 0.969 0.885
O1 O 0.000 0.011 0.880
O2 O 0.000 0.107 0.358
O3 O 0.000 0.250 0.578
O4 O 0.000 0.393 0.358
O5 O 0.000 0.489 0.880
O6 O 0.000 0.511 0.120
O7 O 0.000 0.607 0.642
O8 O 0.000 0.750 0.422
O9 O 0.000 0.893 0.642
O10 O 0.000 0.989 0.120
O11 O 0.001 0.093 0.677
O12 O 0.001 0.407 0.677
O13 O 0.250 0.005 0.359
O14 O 0.250 0.068 0.016
O15 O 0.250 0.075 0.205
O16 O 0.250 0.108 0.839
O17 O 0.250 0.193 0.713
O18 O 0.250 0.307 0.713
O19 O 0.250 0.392 0.839
O20 O 0.250 0.425 0.205
O21 O 0.250 0.432 0.016
O22 O 0.250 0.495 0.359
O23 O 0.250 0.581 0.485
O24 O 0.250 0.692 0.554
O25 O 0.250 0.808 0.554
O26 O 0.250 0.919 0.485
O27 O 0.499 0.093 0.677
O28 O 0.499 0.407 0.677
O29 O 0.500 0.011 0.880
O30 O 0.500 0.107 0.358
O31 O 0.500 0.250 0.578
O32 O 0.500 0.393 0.358
O33 O 0.500 0.489 0.880
O34 O 0.500 0.511 0.120
O35 O 0.500 0.607 0.642
O36 O 0.500 0.750 0.422
O37 O 0.500 0.893 0.642
O38 O 0.500 0.989 0.120
O39 O 0.501 0.593 0.323
O40 O 0.501 0.907 0.323
O41 O 0.750 0.081 0.515
O42 O 0.750 0.192 0.446
O43 O 0.750 0.308 0.446
O44 O 0.750 0.419 0.515
O45 O 0.750 0.505 0.641
O46 O 0.750 0.568 0.984
O47 O 0.750 0.575 0.795
O48 O 0.750 0.608 0.161
O49 O 0.750 0.693 0.287
O50 O 0.750 0.807 0.287
O51 O 0.750 0.892 0.161
O52 O 0.750 0.925 0.795
O53 O 0.750 0.932 0.984
O54 O 0.750 0.995 0.641
O55 O 0.999 0.593 0.323
O56 O 0.999 0.907 0.323
```



Entry 6:
The following is a r²SCAN calculation of Cs2Sb2Pt after structural relaxation, from the Materials Project.

CIF file:
```
data_Cs2Sb2Pt
_chemical_formula_sum 'Cs4 Sb4 Pt2'
_symmetry_space_group_name_H-M 'P 1'
_symmetry_Int_Tables_number 1
_cell_length_a 8.433
_cell_length_b 8.433
_cell_length_c 7.011
_cell_angle_alpha 90.00
_cell_angle_beta 90.00
_cell_angle_gamma 126.04
loop_
_symmetry_equiv_pos_as_xyz
'x,y,z'
loop_
_atom_site_label
_atom_site_type_symbol
_atom_site_fract_x
_atom_site_fract_y
_atom_site_fract_z
Cs1 Cs 0.103 0.897 0.750
Cs2 Cs 0.302 0.698 0.250
Cs3 Cs 0.698 0.302 0.750
Cs4 Cs 0.897 0.103 0.250
Sb1 Sb 0.220 0.412 0.750
Sb2 Sb 0.412 0.220 0.250
Sb3 Sb 0.588 0.780 0.750
Sb4 Sb 0.780 0.588 0.250
Pt1 Pt 0.500 0.500 0.000
Pt2 Pt 0.500 0.500 0.500
```



no.,energy of formation (meV per atom),size of the total moment (μB per cell)
1,-1511,0.0
2,-1750,0.0
3,-1194,0.0
4,-681,0.0
5,-3015,0.0
6,-615,0.0